{"formula": "SiP3RuO11", "functional": "PBE", "state": "optimized geometry", "lattice_angstrom": [[13.5191, -4.2000, 0.0000], [13.5191, 4.2000, 0.0000], [12.2142, 0.0000, 7.1567]], "species": ["O", "O", "O", "O", "O", "O", "O", "O", "O", "O", "O", "O", "O", "O", "O", "O", "O", "O", "O", "O", "O", "O", "O", "O", "O", "O", "O", "O", "O", "O", "O", "O", "O", "O", "O", "O", "O", "O", "O", "O", "O", "O", "O", "O", "Si", "Si", "Si", "Si", "P", "P", "P", "P", "P", "P", "P", "P", "P", "P", "P", "P", "Ru", "Ru", "Ru", "Ru"], "fractional_positions": [[0.9025, 0.7894, 0.1493], [0.7894, 0.1493, 0.9025], [0.5442, 0.4887, 0.8482], [0.2190, 0.1740, 0.5397], [0.5975, 0.3507, 0.7106], [0.8260, 0.4603, 0.7810], [0.6518, 0.0113, 0.9558], [0.3507, 0.7106, 0.5975], [0.2810, 0.9603, 0.3260], [0.4603, 0.7810, 0.8260], [0.7106, 0.5975, 0.3507], [0.4025, 0.6493, 0.2894], [0.0113, 0.9558, 0.6518], [0.5377, 0.7500, 0.9623], [0.5113, 0.1518, 0.4558], [0.7500, 0.9623, 0.5377], [0.3482, 0.9887, 0.0442], [0.8482, 0.5442, 0.4887], [0.4887, 0.8482, 0.5442], [0.6493, 0.2894, 0.4025], [0.0442, 0.3482, 0.9887], [0.4558, 0.5113, 0.1518], [0.0000, 0.0000, 0.0000], [0.2106, 0.8507, 0.0975], [0.8507, 0.0975, 0.2106], [0.9603, 0.3260, 0.2810], [0.0377, 0.4623, 0.2500], [0.1740, 0.5397, 0.2190], [0.1493, 0.9025, 0.7894], [0.9887, 0.0442, 0.3482], [0.5000, 0.5000, 0.5000], [0.0397, 0.6740, 0.7190], [0.3260, 0.2810, 0.9603], [0.7190, 0.0397, 0.6740], [0.9623, 0.5377, 0.7500], [0.2894, 0.4025, 0.6493], [0.2500, 0.0377, 0.4623], [0.0975, 0.2106, 0.8507], [0.1518, 0.4558, 0.5113], [0.5397, 0.2190, 0.1740], [0.6740, 0.7190, 0.0397], [0.9558, 0.6518, 0.0113], [0.7810, 0.8260, 0.4603], [0.4623, 0.2500, 0.0377], [0.0398, 0.0398, 0.0398], [0.5398, 0.5398, 0.5398], [0.4602, 0.4602, 0.4602], [0.9602, 0.9602, 0.9602], [0.5096, 0.2123, 0.9186], [0.9186, 0.5096, 0.2123], [0.0096, 0.4186, 0.7123], [0.2877, 0.9904, 0.5814], [0.7123, 0.0096, 0.4186], [0.2123, 0.9186, 0.5096], [0.7877, 0.0814, 0.4904], [0.4186, 0.7123, 0.0096], [0.4904, 0.7877, 0.0814], [0.0814, 0.4904, 0.7877], [0.5814, 0.2877, 0.9904], [0.9904, 0.5814, 0.2877], [0.1589, 0.1589, 0.1589], [0.6589, 0.6589, 0.6589], [0.3411, 0.3411, 0.3411], [0.8411, 0.8411, 0.8411]], "formation_energy_ev_per_atom": -2.474, "dft_energy_ev_per_cell": -469.6, "vol_a3_per_cell": 813, "crystal_system": "trigonal"}



{"formula": "P4S6O3", "functional": "PBE", "state": "optimized geometry", "lattice_angstrom": [[-4.4495, -4.8422, -11.2176], [5.1331, -4.7083, -0.0037], [-2.9287, -6.0661, 3.7802]], "species": ["S", "S", "S", "S", "S", "S", "S", "S", "S", "S", "S", "S", "O", "O", "O", "O", "O", "O", "P", "P", "P", "P", "P", "P", "P", "P"], "fractional_positions": [[0.4727, 0.7185, 0.7079], [0.9727, 0.2815, 0.2921], [0.7500, 0.5040, 0.6244], [0.2500, 0.4960, 0.3756], [0.1188, 0.1197, 0.8184], [0.6188, 0.8803, 0.1816], [0.2500, 0.9880, 0.2150], [0.5273, 0.2815, 0.2921], [0.8812, 0.8803, 0.1816], [0.3812, 0.1197, 0.8184], [0.0273, 0.7185, 0.7079], [0.7500, 0.0120, 0.7850], [0.6526, 0.2954, 0.9677], [0.7500, 0.1990, 0.2608], [0.1526, 0.7046, 0.0323], [0.3474, 0.7046, 0.0323], [0.8474, 0.2954, 0.9677], [0.2500, 0.8010, 0.7392], [0.2500, 0.1932, 0.9571], [0.2500, 0.7071, 0.1661], [0.7500, 0.2929, 0.8339], [0.7500, 0.8068, 0.0429], [0.8645, 0.1791, 0.1782], [0.6355, 0.1791, 0.1782], [0.1355, 0.8209, 0.8218], [0.3645, 0.8209, 0.8218]], "formation_energy_ev_per_atom": -1.138, "dft_energy_ev_per_cell": -142.1, "vol_a3_per_cell": 677, "crystal_system": "monoclinic"}



{"formula": "P4SO6", "functional": "PBE", "state": "optimized geometry", "lattice_angstrom": [[-2.6803, 0.4852, -9.4001], [8.1351, -0.5120, -2.3460], [-0.7197, -10.2804, -0.3254]], "species": ["S", "S", "S", "S", "O", "O", "O", "O", "O", "O", "O", "O", "O", "O", "O", "O", "O", "O", "O", "O", "O", "O", "O", "O", "O", "O", "O", "O", "P", "P", "P", "P", "P", "P", "P", "P", "P", "P", "P", "P", "P", "P", "P", "P"], "fractional_positions": [[0.5462, 0.3033, 0.7391], [0.0462, 0.6967, 0.7609], [0.4538, 0.6967, 0.2609], [0.9538, 0.3033, 0.2391], [0.6784, 0.6076, 0.6720], [0.3956, 0.8544, 0.7655], [0.9225, 0.4011, 0.8635], [0.1044, 0.8544, 0.2655], [0.6542, 0.8620, 0.8025], [0.5775, 0.4011, 0.3635], [0.3458, 0.1380, 0.1975], [0.9426, 0.8452, 0.0728], [0.0574, 0.1548, 0.9272], [0.4426, 0.1548, 0.4272], [0.8956, 0.1456, 0.7345], [0.3216, 0.3924, 0.3280], [0.8216, 0.6076, 0.1720], [0.5574, 0.8452, 0.5728], [0.6044, 0.1456, 0.2345], [0.1784, 0.3924, 0.8280], [0.0177, 0.3832, 0.6356], [0.9823, 0.6168, 0.3644], [0.5177, 0.6168, 0.8644], [0.8458, 0.8620, 0.3025], [0.0775, 0.5989, 0.1365], [0.1542, 0.1380, 0.6975], [0.4823, 0.3832, 0.1356], [0.4225, 0.5989, 0.6365], [0.6993, 0.8044, 0.6543], [0.3007, 0.1956, 0.3457], [0.8007, 0.8044, 0.1543], [0.9897, 0.8149, 0.3796], [0.5410, 0.5266, 0.7282], [0.0410, 0.4734, 0.7718], [0.4897, 0.1851, 0.1204], [0.3983, 0.7943, 0.6117], [0.5103, 0.8149, 0.8796], [0.4590, 0.4734, 0.2718], [0.0103, 0.1851, 0.6204], [0.1017, 0.7943, 0.1117], [0.6017, 0.2057, 0.3883], [0.8983, 0.2057, 0.8883], [0.1993, 0.1956, 0.8457], [0.9590, 0.5266, 0.2282]], "formation_energy_ev_per_atom": -1.885, "dft_energy_ev_per_cell": -286.3, "vol_a3_per_cell": 856, "crystal_system": "monoclinic"}



{"formula": "P2SO3", "functional": "PBE", "state": "optimized geometry", "lattice_angstrom": [[6.7598, 0.0000, 0.0000], [0.0000, 11.7262, 0.0000], [0.0000, 0.0675, 12.1539]], "species": ["O", "O", "O", "O", "O", "O", "O", "O", "O", "O", "O", "O", "O", "O", "O", "O", "O", "O", "O", "O", "O", "O", "O", "O", "P", "P", "P", "P", "P", "P", "P", "P", "P", "P", "P", "P", "P", "P", "P", "P", "S", "S", "S", "S", "S", "S", "S", "S"], "fractional_positions": [[0.8221, 0.8958, 0.0612], [0.7236, 0.7997, 0.3748], [0.8982, 0.2200, 0.0207], [0.6317, 0.6083, 0.4604], [0.3982, 0.7800, 0.4793], [0.2236, 0.2003, 0.1252], [0.6779, 0.8958, 0.5612], [0.9100, 0.7248, 0.5423], [0.3683, 0.3917, 0.5396], [0.6018, 0.2200, 0.5207], [0.0854, 0.2953, 0.8557], [0.4146, 0.2953, 0.3557], [0.7764, 0.7997, 0.8748], [0.0900, 0.2752, 0.4577], [0.1018, 0.7800, 0.9793], [0.5854, 0.7047, 0.6443], [0.3221, 0.1042, 0.4388], [0.5900, 0.7248, 0.0423], [0.2764, 0.2003, 0.6252], [0.1779, 0.1042, 0.9388], [0.1317, 0.3917, 0.0396], [0.4100, 0.2752, 0.9577], [0.8683, 0.6083, 0.9604], [0.9146, 0.7047, 0.1443], [0.5143, 0.1782, 0.4040], [0.4689, 0.2882, 0.6185], [0.6404, 0.8488, 0.9773], [0.1404, 0.1512, 0.5227], [0.2474, 0.3708, 0.9252], [0.0311, 0.2882, 0.1185], [0.8596, 0.8488, 0.4773], [0.5311, 0.7118, 0.3815], [0.9689, 0.7118, 0.8815], [0.2526, 0.3708, 0.4252], [0.3596, 0.1512, 0.0227], [0.7526, 0.6292, 0.0748], [0.9857, 0.1782, 0.9040], [0.7474, 0.6292, 0.5748], [0.4857, 0.8218, 0.5960], [0.0143, 0.8218, 0.0960], [0.3425, 0.5004, 0.8494], [0.1575, 0.5004, 0.3494], [0.8065, 0.1048, 0.8079], [0.8425, 0.4996, 0.6506], [0.6575, 0.4996, 0.1506], [0.1935, 0.8952, 0.1921], [0.6935, 0.1048, 0.3079], [0.3065, 0.8952, 0.6921]], "formation_energy_ev_per_atom": -1.813, "dft_energy_ev_per_cell": -305.0, "vol_a3_per_cell": 963, "crystal_system": "monoclinic"}